No. 1
This record from the Materials Project describes a geometry-optimized Li14Mn9P16O56 structure. The functional is PBE with a Hubbard U.

abc: 10.909 9.806 13.065
angles: 69.24 116.72 107.24
Fractional coordinates of all 95 atoms:
Li (0.379, 0.548, 0.410)
Li (0.624, 0.955, 0.088)
Li (0.376, 0.045, 0.912)
Li (0.862, 0.064, 0.404)
Li (0.138, 0.936, 0.596)
Li (0.500, 0.637, 0.184)
Li (0.512, 0.138, 0.678)
Li (0.981, 0.850, 0.110)
Li (0.488, 0.862, 0.322)
Li (0.146, 0.431, 0.102)
Li (0.500, 0.363, 0.816)
Li (0.854, 0.569, 0.898)
Li (0.621, 0.452, 0.590)
Li (0.019, 0.150, 0.890)
Mn (0.788, 0.305, 0.083)
Mn (0.725, 0.431, 0.289)
Mn (0.212, 0.695, 0.917)
Mn (0.742, 0.938, 0.799)
Mn (0.275, 0.569, 0.711)
Mn (0.258, 0.062, 0.201)
Mn (0.212, 0.194, 0.417)
Mn (0.788, 0.806, 0.583)
Mn (0.000, 0.500, 0.500)
P (0.699, 0.642, 0.010)
P (0.301, 0.358, 0.990)
P (0.055, 0.473, 0.276)
P (0.057, 0.975, 0.774)
P (0.207, 0.234, 0.661)
P (0.298, 0.851, 0.491)
P (0.945, 0.527, 0.724)
P (0.534, 0.181, 0.134)
P (0.538, 0.688, 0.634)
P (0.793, 0.766, 0.339)
P (0.943, 0.025, 0.226)
P (0.791, 0.272, 0.837)
P (0.466, 0.819, 0.866)
P (0.462, 0.312, 0.366)
P (0.702, 0.149, 0.509)
P (0.209, 0.728, 0.163)
O (0.005, 0.091, 0.332)
O (0.547, 0.682, 0.910)
O (0.902, 0.846, 0.272)
O (0.276, 0.978, 0.521)
O (0.693, 0.105, 0.630)
O (0.994, 0.405, 0.170)
O (0.201, 0.706, 0.521)
O (0.956, 0.965, 0.829)
O (0.545, 0.178, 0.411)
O (0.716, 0.516, 0.976)
O (0.908, 0.349, 0.775)
O (0.092, 0.651, 0.225)
O (0.312, 0.248, 0.290)
O (0.724, 0.022, 0.479)
O (0.806, 0.576, 0.635)
O (0.307, 0.895, 0.370)
O (0.688, 0.597, 0.129)
O (0.453, 0.318, 0.090)
O (0.047, 0.546, 0.668)
O (0.193, 0.922, 0.864)
O (0.839, 0.846, 0.435)
O (0.196, 0.217, 0.011)
O (0.469, 0.554, 0.705)
O (0.466, 0.850, 0.974)
O (0.316, 0.754, 0.791)
O (0.455, 0.822, 0.589)
O (0.098, 0.154, 0.728)
O (0.354, 0.703, 0.257)
O (0.462, 0.050, 0.205)
O (0.647, 0.789, 0.247)
O (0.179, 0.886, 0.112)
O (0.284, 0.484, 0.024)
O (0.538, 0.950, 0.795)
O (0.312, 0.403, 0.871)
O (0.819, 0.606, 0.390)
O (0.953, 0.454, 0.332)
O (0.684, 0.246, 0.209)
O (0.461, 0.343, 0.474)
O (0.821, 0.114, 0.888)
O (0.181, 0.394, 0.610)
O (0.006, 0.595, 0.830)
O (0.807, 0.078, 0.136)
O (0.194, 0.424, 0.365)
O (0.353, 0.211, 0.753)
O (0.995, 0.909, 0.668)
O (0.167, 0.647, 0.069)
O (0.688, 0.752, 0.710)
O (0.534, 0.150, 0.026)
O (0.833, 0.353, 0.931)
O (0.044, 0.035, 0.171)
O (0.531, 0.446, 0.295)
O (0.799, 0.294, 0.479)
O (0.539, 0.657, 0.526)
O (0.161, 0.154, 0.565)
O (0.646, 0.297, 0.743)
O (0.804, 0.783, 0.989)

As for the calculated formation energy: -2.625 eV per atom. The calculation puts the magnetic moment at 45.0 μB/f.u.


No. 2
This record from the Materials Project describes a geometry-optimized LiMn2P2O8 structure. The functional is PBE with a Hubbard U.

abc: 4.862 6.125 10.229
angles: 90.41 88.58 89.92
Fractional coordinates of all 26 atoms:
Li (0.754, 0.255, 0.798)
Li (0.251, 0.748, 0.296)
Mn (0.801, 0.493, 0.086)
Mn (0.215, 0.506, 0.578)
Mn (0.698, 0.006, 0.509)
Mn (0.286, 0.996, 0.016)
P (0.150, 0.008, 0.689)
P (0.817, 0.995, 0.207)
P (0.683, 0.503, 0.388)
P (0.349, 0.494, 0.905)
O (0.923, 0.001, 0.350)
O (0.081, 0.002, 0.836)
O (0.470, 0.017, 0.667)
O (0.506, 0.982, 0.202)
O (0.946, 0.191, 0.129)
O (0.020, 0.817, 0.611)
O (0.002, 0.213, 0.632)
O (0.970, 0.792, 0.141)
O (0.499, 0.290, 0.963)
O (0.529, 0.705, 0.453)
O (0.553, 0.307, 0.465)
O (0.478, 0.685, 0.983)
O (0.577, 0.497, 0.244)
O (0.420, 0.499, 0.759)
O (0.994, 0.517, 0.392)
O (0.029, 0.482, 0.927)

As for the calculated formation energy: -2.537 eV per atom. The calculation puts the magnetic moment at 0.0 μB/f.u.


No. 3
This record from the Materials Project describes a geometry-optimized Li2Mn2P3O12 structure. The functional is PBE with a Hubbard U.

abc: 8.599 8.599 8.800
angles: 59.42 59.42 60.68
Fractional coordinates of all 38 atoms:
Li (0.326, 0.174, 0.553)
Li (0.826, 0.674, 0.947)
Li (0.174, 0.326, 0.053)
Li (0.674, 0.826, 0.447)
Mn (0.861, 0.360, 0.855)
Mn (0.640, 0.139, 0.645)
Mn (0.360, 0.861, 0.355)
Mn (0.139, 0.640, 0.145)
P (0.533, 0.467, 0.250)
P (0.467, 0.533, 0.750)
P (0.248, 0.040, 0.964)
P (0.960, 0.752, 0.536)
P (0.040, 0.248, 0.464)
P (0.752, 0.960, 0.036)
O (0.488, 0.361, 0.719)
O (0.868, 0.205, 0.504)
O (0.721, 0.456, 0.079)
O (0.707, 0.968, 0.883)
O (0.361, 0.488, 0.219)
O (0.544, 0.279, 0.421)
O (0.082, 0.230, 0.943)
O (0.415, 0.057, 0.770)
O (0.770, 0.918, 0.557)
O (0.032, 0.293, 0.617)
O (0.057, 0.415, 0.270)
O (0.795, 0.132, 0.996)
O (0.205, 0.868, 0.004)
O (0.943, 0.585, 0.730)
O (0.968, 0.707, 0.383)
O (0.230, 0.082, 0.443)
O (0.585, 0.943, 0.230)
O (0.918, 0.770, 0.057)
O (0.456, 0.721, 0.579)
O (0.639, 0.512, 0.781)
O (0.293, 0.032, 0.117)
O (0.279, 0.544, 0.921)
O (0.132, 0.795, 0.496)
O (0.512, 0.639, 0.281)

As for the calculated formation energy: -2.456 eV per atom. The calculation puts the magnetic moment at 7.0 μB/f.u.